## KNb4AgP2S20 (r²SCAN)

Data for a geometry-optimized KNb4AgP2S20 structure.

Cell lengths 7.254, 7.326, 13.035 Å; angles 89.92, 76.46, 89.33 degrees
Positions (direct):
K  0.000  0.000  0.000
Nb  0.412  0.437  0.695
Nb  0.415  0.434  0.987
Nb  0.417  0.566  0.196
Nb  0.418  0.569  0.486
Ag  0.925  0.002  0.589
P  0.207  0.887  0.367
P  0.620  0.118  0.812
S  0.135  0.584  0.640
S  0.138  0.583  0.113
S  0.159  0.606  0.374
S  0.164  0.397  0.873
S  0.195  0.326  0.157
S  0.199  0.328  0.582
S  0.290  0.646  0.859
S  0.360  0.918  0.216
S  0.367  0.918  0.475
S  0.457  0.085  0.706
S  0.473  0.082  0.965
S  0.542  0.359  0.325
S  0.631  0.677  0.599
S  0.638  0.671  0.026
S  0.665  0.609  0.308
S  0.672  0.396  0.807
S  0.692  0.414  0.071
S  0.695  0.421  0.541
S  0.855  0.961  0.780
S  0.972  0.041  0.398

Calculated values
Raw total energy = -11.628 eV/atom
E_form = -0.74 eV per atom
Volume = 673.4 Å³ per cell

## KAgO2 (r²SCAN)

Data for a geometry-optimized KAgO2 structure.

Cell lengths 5.435, 5.435, 5.795 Å; angles 101.76, 101.76, 103.45 degrees
Positions (direct):
K  0.141  0.859  0.750
K  0.859  0.141  0.250
Ag  0.500  0.500  0.000
Ag  0.500  0.500  0.500
O  0.242  0.345  0.671
O  0.345  0.242  0.171
O  0.655  0.758  0.829
O  0.758  0.655  0.329

Calculated values
Raw total energy = -10.612 eV/atom
E_form = -0.78 eV per atom
Volume = 157.2 Å³ per cell